# Ba2Cu4As5H3O20 GGA-PBE relaxed
data_Ba2Cu4As5H3O20
_chemical_formula_sum 'Ba4 Cu8 As10 H6 O40'
_symmetry_space_group_name_H-M 'P 1'
_symmetry_Int_Tables_number 1
_cell_length_a 7.933
_cell_length_b 7.935
_cell_length_c 13.924
_cell_angle_alpha 90.59
_cell_angle_beta 90.24
_cell_angle_gamma 90.00
loop_
_symmetry_equiv_pos_as_xyz
'x,y,z'
loop_
_atom_site_label
_atom_site_type_symbol
_atom_site_fract_x
_atom_site_fract_y
_atom_site_fract_z
Ba1 Ba 0.000 0.000 0.000
Ba2 Ba 0.011 0.005 0.500
Ba3 Ba 0.496 0.514 0.350
Ba4 Ba 0.508 0.515 0.850
Cu1 Cu 0.073 0.689 0.233
Cu2 Cu 0.175 0.444 0.624
Cu3 Cu 0.325 0.078 0.731
Cu4 Cu 0.431 0.833 0.123
Cu5 Cu 0.565 0.184 0.125
Cu6 Cu 0.683 0.936 0.732
Cu7 Cu 0.825 0.578 0.623
Cu8 Cu 0.931 0.332 0.231
As1 As 0.000 0.506 0.428
As2 As 0.073 0.747 0.780
As3 As 0.239 0.433 0.084
As4 As 0.263 0.080 0.279
As5 As 0.427 0.766 0.586
As6 As 0.499 0.011 0.928
As7 As 0.577 0.249 0.584
As8 As 0.743 0.931 0.268
As9 As 0.757 0.583 0.086
As10 As 0.924 0.266 0.768
H1 H 0.107 0.397 0.881
H2 H 0.112 0.617 0.959
H3 H 0.392 0.118 0.458
H4 H 0.599 0.894 0.468
H5 H 0.613 0.114 0.382
H6 H 0.887 0.409 0.968
O1 O 0.028 0.301 0.881
O2 O 0.063 0.312 0.104
O3 O 0.075 0.238 0.681
O4 O 0.082 0.194 0.302
O5 O 0.085 0.353 0.501
O6 O 0.155 0.590 0.354
O7 O 0.186 0.929 0.803
O8 O 0.201 0.575 0.749
O9 O 0.212 0.538 0.972
O10 O 0.232 0.935 0.185
O11 O 0.272 0.581 0.174
O12 O 0.296 0.989 0.388
O13 O 0.308 0.944 0.605
O14 O 0.318 0.591 0.551
O15 O 0.345 0.927 0.001
O16 O 0.416 0.326 0.051
O17 O 0.418 0.167 0.855
O18 O 0.430 0.280 0.673
O19 O 0.435 0.207 0.249
O20 O 0.472 0.219 0.472
O21 O 0.546 0.784 0.479
O22 O 0.572 0.735 0.676
O23 O 0.574 0.803 0.244
O24 O 0.582 0.691 0.049
O25 O 0.584 0.856 0.854
O26 O 0.656 0.092 0.002
O27 O 0.684 0.425 0.550
O28 O 0.702 0.075 0.607
O29 O 0.709 0.035 0.382
O30 O 0.727 0.440 0.176
O31 O 0.771 0.081 0.182
O32 O 0.777 0.465 0.978
O33 O 0.796 0.436 0.744
O34 O 0.819 0.091 0.805
O35 O 0.843 0.424 0.355
O36 O 0.920 0.664 0.502
O37 O 0.920 0.827 0.306
O38 O 0.928 0.777 0.687
O39 O 0.932 0.706 0.108
O40 O 0.983 0.714 0.889
# E_form ... -1.708 eV/atom
# Total magnetic moment ... 8.0 Bohr magnetons per cell
# Volume ... 12.9 Å³ per atom